# 1
The following is a DFT calculation (GGA-PBE) of a geometry-optimized Sr5Nb4O15 structure.

Calculated values
* formation energy: -3.279 eV/atom
* calculated density: 5.230 g cm⁻³

Cell: 5.7459 5.7459 11.6717 Å, 90.65 90.65 59.89°
Atoms (fractional coordinates):
Sr1 0.0000 0.0000 0.0000
Sr2 0.3301 0.3301 0.4388
Sr3 0.3331 0.3331 0.7803
Sr4 0.6669 0.6669 0.2197
Sr5 0.6699 0.6699 0.5612
Nb1 0.0024 0.0024 0.3204
Nb2 0.3353 0.3353 0.1057
Nb3 0.6647 0.6647 0.8943
Nb4 0.9976 0.9976 0.6796
O1 0.0000 0.5000 0.0000
O2 0.1638 0.6579 0.6072
O3 0.1661 0.1661 0.6095
O4 0.1703 0.6760 0.1925
O5 0.1717 0.1717 0.1966
O6 0.3240 0.8297 0.8075
O7 0.3421 0.8362 0.3928
O8 0.5000 0.0000 0.0000
O9 0.5000 0.5000 0.0000
O10 0.6579 0.1638 0.6072
O11 0.6760 0.1703 0.1925
O12 0.8283 0.8283 0.8034
O13 0.8297 0.3240 0.8075
O14 0.8339 0.8339 0.3905
O15 0.8362 0.3421 0.3928

# 2
The following is a DFT calculation (GGA-PBE) of a geometry-optimized SrNb6O16 structure.

Calculated values
* formation energy: -3.089 eV/atom
* piezoelectric modulus e_max: 4.834 C/m²
* calculated density: 4.822 g cm⁻³

Cell: 3.9169 9.1795 9.1795 Å, 70.09 90.00 90.00°
Atoms (fractional coordinates):
Sr1 0.0000 0.0000 0.0000
Nb1 0.5000 0.0186 0.6566
Nb2 0.5000 0.1922 0.1922
Nb3 0.5000 0.3964 0.7709
Nb4 0.5000 0.4052 0.4052
Nb5 0.5000 0.6566 0.0186
Nb6 0.5000 0.7709 0.3964
O1 0.0000 0.0316 0.6906
O2 0.0000 0.1737 0.1737
O3 0.0000 0.3951 0.3951
O4 0.0000 0.4030 0.7715
O5 0.0000 0.6906 0.0316
O6 0.0000 0.7715 0.4030
O7 0.5000 0.1627 0.4121
O8 0.5000 0.2116 0.9552
O9 0.5000 0.2529 0.6366
O10 0.5000 0.4121 0.1627
O11 0.5000 0.5412 0.5412
O12 0.5000 0.5655 0.8646
O13 0.5000 0.6366 0.2529
O14 0.5000 0.8646 0.5655
O15 0.5000 0.8869 0.8869
O16 0.5000 0.9552 0.2116

# 3
The following is a DFT calculation (GGA-PBE) of a geometry-optimized Sr2Nb5O9 structure.

Calculated values
* formation energy: -2.862 eV/atom
* calculated density: 6.055 g cm⁻³

Cell: 4.1996 4.1996 12.1868 Å, 90.00 90.00 90.00°
Atoms (fractional coordinates):
Sr1 0.0000 0.0000 0.1693
Sr2 0.0000 0.0000 0.8307
Nb1 0.0000 0.5000 0.5000
Nb2 0.5000 0.0000 0.5000
Nb3 0.5000 0.5000 0.0000
Nb4 0.5000 0.5000 0.3354
Nb5 0.5000 0.5000 0.6646
O1 0.0000 0.0000 0.5000
O2 0.0000 0.5000 0.0000
O3 0.0000 0.5000 0.3229
O4 0.0000 0.5000 0.6771
O5 0.5000 0.0000 0.0000
O6 0.5000 0.0000 0.3229
O7 0.5000 0.0000 0.6771
O8 0.5000 0.5000 0.1619
O9 0.5000 0.5000 0.8381

# 4
The following is a DFT calculation (GGA-PBE) of a geometry-optimized Sr4Nb2O9 structure.

Calculated values
* formation energy: -3.209 eV/atom
* calculated density: 4.552 g cm⁻³

Cell: 6.0156 6.0214 15.7433 Å, 94.03 94.11 118.50°
Atoms (fractional coordinates):
Sr1 0.0000 0.0000 0.0000
Sr2 0.0255 0.0900 0.5198
Sr3 0.2629 0.6325 0.7272
Sr4 0.3832 0.6879 0.1551
Sr5 0.6440 0.3395 0.9029
Sr6 0.7035 0.3458 0.1197
Sr7 0.7490 0.4183 0.3622
Sr8 0.9290 0.9592 0.7686
Nb1 0.0861 0.0347 0.2597
Nb2 0.3166 0.6437 0.9437
Nb3 0.3604 0.7624 0.4496
Nb4 0.5742 0.2142 0.6562
O1 0.0223 0.2058 0.1717
O2 0.0335 0.4804 0.0229
O3 0.0874 0.2255 0.3581
O4 0.0922 0.7012 0.8600
O5 0.0945 0.5296 0.5012
O6 0.1915 0.7880 0.3485
O7 0.1959 0.2864 0.8864
O8 0.2158 0.9642 0.6453
O9 0.4204 0.1037 0.2318
O10 0.4249 0.9809 0.0179
O11 0.5016 0.0930 0.5136
O12 0.5599 0.5884 0.0360
O13 0.5967 0.1063 0.7657
O14 0.5982 0.5357 0.6775
O15 0.6153 0.7684 0.8789
O16 0.6412 0.7064 0.4418
O17 0.7875 0.7049 0.2342
O18 0.9035 0.2327 0.6470

# 5
The following is a DFT calculation (GGA-PBE) of a geometry-optimized Sr2TbNbO6 structure.

Calculated values
* formation energy: -3.393 eV/atom
* calculated density: 5.727 g cm⁻³

Cell: 5.9861 5.9861 5.9861 Å, 60.00 60.00 60.00°
Atoms (fractional coordinates):
Sr1 0.2500 0.2500 0.2500
Sr2 0.7500 0.7500 0.7500
Tb1 0.0000 0.0000 0.0000
Nb1 0.5000 0.5000 0.5000
O1 0.2627 0.2627 0.7373
O2 0.2627 0.7373 0.2627
O3 0.2627 0.7373 0.7373
O4 0.7373 0.2627 0.2627
O5 0.7373 0.2627 0.7373
O6 0.7373 0.7373 0.2627

# 6
The following is a DFT calculation (GGA-PBE) of a geometry-optimized Sr2TbNbO6 structure.

Calculated values
* formation energy: -3.443 eV/atom
* calculated density: 5.883 g cm⁻³

Cell: 8.3898 8.3898 8.3898 Å, 90.00 90.00 90.00°
Atoms (fractional coordinates):
Sr1 0.2500 0.2500 0.2500
Sr2 0.2500 0.2500 0.7500
Sr3 0.2500 0.7500 0.2500
Sr4 0.2500 0.7500 0.7500
Sr5 0.7500 0.2500 0.2500
Sr6 0.7500 0.2500 0.7500
Sr7 0.7500 0.7500 0.2500
Sr8 0.7500 0.7500 0.7500
Tb1 0.0000 0.0000 0.0000
Tb2 0.0000 0.5000 0.5000
Tb3 0.5000 0.0000 0.5000
Tb4 0.5000 0.5000 0.0000
Nb1 0.0000 0.0000 0.5000
Nb2 0.0000 0.5000 0.0000
Nb3 0.5000 0.0000 0.0000
Nb4 0.5000 0.5000 0.5000
O1 0.0326 0.5397 0.7643
O2 0.0326 0.9603 0.7357
O3 0.0397 0.2357 0.5326
O4 0.0397 0.2643 0.9674
O5 0.2357 0.5326 0.0397
O6 0.2357 0.9674 0.4603
O7 0.2643 0.5326 0.4603
O8 0.2643 0.9674 0.0397
O9 0.4603 0.2357 0.9674
O10 0.4603 0.2643 0.5326
O11 0.4674 0.5397 0.7357
O12 0.4674 0.9603 0.7643
O13 0.5326 0.0397 0.2357
O14 0.5326 0.4603 0.2643
O15 0.5397 0.7357 0.4674
O16 0.5397 0.7643 0.0326
O17 0.7357 0.0326 0.9603
O18 0.7357 0.4674 0.5397
O19 0.7643 0.0326 0.5397
O20 0.7643 0.4674 0.9603
O21 0.9603 0.7357 0.0326
O22 0.9603 0.7643 0.4674
O23 0.9674 0.0397 0.2643
O24 0.9674 0.4603 0.2357

# 7
The following is a DFT calculation (GGA-PBE) of a geometry-optimized Sr3TiNb4O15 structure.

Calculated values
* formation energy: -3.258 eV/atom
* calculated density: 4.787 g cm⁻³

Cell: 4.0097 12.6169 12.6496 Å, 90.00 90.20 90.00°
Atoms (fractional coordinates):
Sr1 0.0000 0.1034 0.0000
Sr2 0.0000 0.8966 0.5000
Sr3 0.0070 0.2437 0.6988
Sr4 0.0070 0.7563 0.1988
Sr5 0.9913 0.3665 0.4171
Sr6 0.9913 0.6335 0.9171
Ti1 0.4667 0.1618 0.4945
Ti2 0.4667 0.8382 0.9945
Nb1 0.4689 0.2503 0.2053
Nb2 0.4689 0.7497 0.7053
Nb3 0.4884 0.4572 0.6257
Nb4 0.4884 0.5428 0.1257
Nb5 0.5204 0.0349 0.7763
Nb6 0.5205 0.3325 0.9136
Nb7 0.5205 0.6675 0.4136
Nb8 0.5204 0.9651 0.2763
O1 0.0028 0.0451 0.7862
O2 0.0028 0.9549 0.2862
O3 0.0040 0.2502 0.1986
O4 0.0040 0.7498 0.6986
O5 0.0081 0.3228 0.8982
O6 0.0081 0.6772 0.3982
O7 0.0092 0.4494 0.6099
O8 0.0092 0.5506 0.1099
O9 0.0192 0.1757 0.4970
O10 0.0192 0.8243 0.9970
O11 0.4983 0.1799 0.8413
O12 0.4983 0.8201 0.3413
O13 0.5010 0.0906 0.1851
O14 0.5010 0.9094 0.6851
O15 0.5032 0.0235 0.4274
O16 0.5032 0.9765 0.9274
O17 0.5095 0.4740 0.9701
O18 0.5095 0.5260 0.4701
O19 0.5102 0.1191 0.6389
O20 0.5097 0.2462 0.3557
O21 0.5097 0.7538 0.8557
O22 0.5102 0.8809 0.1389
O23 0.5113 0.3756 0.7553
O24 0.5113 0.6244 0.2553
O25 0.5116 0.3178 0.5476
O26 0.5116 0.6822 0.0476
O27 0.5170 0.4077 0.2006
O28 0.5170 0.5923 0.7006
O29 0.5187 0.2440 0.0387
O30 0.5187 0.7560 0.5387

# 8
The following is a DFT calculation (GGA-PBE) of a geometry-optimized Sr2YNbO6 structure.

Calculated values
* formation energy: -3.398 eV/atom
* calculated density: 4.997 g cm⁻³

Cell: 5.9714 5.9714 5.9714 Å, 60.00 60.00 60.00°
Atoms (fractional coordinates):
Sr1 0.2500 0.2500 0.2500
Sr2 0.7500 0.7500 0.7500
Y1 0.0000 0.0000 0.0000
Nb1 0.5000 0.5000 0.5000
O1 0.2623 0.2623 0.7377
O2 0.2623 0.7377 0.2623
O3 0.2623 0.7377 0.7377
O4 0.7377 0.2623 0.2623
O5 0.7377 0.2623 0.7377
O6 0.7377 0.7377 0.2623

# 9
The following is a DFT calculation (GGA-PBE) of a geometry-optimized Sr2YNbO6 structure.

Calculated values
* formation energy: -3.471 eV/atom
* calculated density: 5.166 g cm⁻³

Cell: 5.8584 5.9632 10.1724 Å, 90.00 124.96 90.00°
Atoms (fractional coordinates):
Sr1 0.2414 0.0396 0.2507
Sr2 0.2414 0.4604 0.7507
Sr3 0.7586 0.5396 0.2493
Sr4 0.7586 0.9604 0.7493
Y1 0.5000 0.0000 0.0000
Y2 0.5000 0.5000 0.5000
Nb1 0.0000 0.0000 0.5000
Nb2 0.0000 0.5000 0.0000
O1 0.1464 0.2236 0.9529
O2 0.1464 0.2764 0.4529
O3 0.2338 0.6961 0.9575
O4 0.2338 0.8039 0.4575
O5 0.3196 0.0268 0.7353
O6 0.3196 0.4732 0.2353
O7 0.6804 0.5268 0.7647
O8 0.6804 0.9732 0.2647
O9 0.7662 0.1961 0.5425
O10 0.7662 0.3039 0.0425
O11 0.8536 0.7236 0.5471
O12 0.8536 0.7764 0.0471

# 10
The following is a DFT calculation (GGA-PBE) of a geometry-optimized Sr3Nb2ZnO9 structure.

Calculated values
* formation energy: -3.071 eV/atom
* calculated density: 5.403 g cm⁻³

Cell: 5.7518 5.7518 7.0588 Å, 90.00 90.00 120.00°
Atoms (fractional coordinates):
Sr1 0.0000 0.0000 0.0000
Sr2 0.3333 0.6667 0.6648
Sr3 0.6667 0.3333 0.3352
Nb1 0.3333 0.6667 0.1796
Nb2 0.6667 0.3333 0.8204
Zn1 0.0000 0.0000 0.5000
O1 0.0000 0.5000 0.0000
O2 0.1697 0.3394 0.3286
O3 0.1697 0.8303 0.3286
O4 0.3394 0.1697 0.6714
O5 0.5000 0.0000 0.0000
O6 0.5000 0.5000 0.0000
O7 0.6606 0.8303 0.3286
O8 0.8303 0.1697 0.6714
O9 0.8303 0.6606 0.6714

# 11
The following is a DFT calculation (GGA-PBE) of a geometry-optimized Sr3Zr2Nb2O12 structure.

Calculated values
* formation energy: -3.413 eV/atom
* calculated density: 4.917 g cm⁻³

Cell: 9.9901 9.9901 9.9901 Å, 34.01 34.01 34.01°
Atoms (fractional coordinates):
Sr1 0.0000 0.0000 0.0000
Sr2 0.2487 0.2487 0.2487
Sr3 0.7513 0.7513 0.7513
Zr1 0.3777 0.3777 0.3777
Zr2 0.6223 0.6223 0.6223
Nb1 0.1269 0.1269 0.1269
Nb2 0.8731 0.8731 0.8731
O1 0.0000 0.0000 0.5000
O2 0.0000 0.5000 0.0000
O3 0.0000 0.5000 0.5000
O4 0.2302 0.7601 0.7601
O5 0.2399 0.2399 0.7698
O6 0.2399 0.7698 0.2399
O7 0.5000 0.0000 0.0000
O8 0.5000 0.0000 0.5000
O9 0.5000 0.5000 0.0000
O10 0.7601 0.2302 0.7601
O11 0.7601 0.7601 0.2302
O12 0.7698 0.2399 0.2399

# 12
The following is a DFT calculation (GGA-PBE) of a geometry-optimized TaNbO5 structure.

Calculated values
* formation energy: -3.142 eV/atom
* calculated density: 4.586 g cm⁻³

Cell: 14.3769 5.7045 14.3899 Å, 90.00 119.72 90.00°
Atoms (fractional coordinates):
Ta1 0.1543 0.2337 0.0925
Ta2 0.1543 0.2663 0.5925
Ta3 0.3456 0.7392 0.9390
Ta4 0.3456 0.7608 0.4390
Ta5 0.6544 0.2392 0.5610
Ta6 0.6544 0.2608 0.0610
Ta7 0.8457 0.7337 0.4075
Ta8 0.8457 0.7663 0.9075
Nb1 0.0570 0.7420 0.2036
Nb2 0.0570 0.7580 0.7036
Nb3 0.4429 0.2471 0.1463
Nb4 0.4429 0.2529 0.6463
Nb5 0.5571 0.7471 0.3537
Nb6 0.5571 0.7529 0.8537
Nb7 0.9430 0.2420 0.2964
Nb8 0.9430 0.2580 0.7964
O1 0.0075 0.0285 0.2416
O2 0.0075 0.4715 0.7416
O3 0.0732 0.2433 0.4436
O4 0.0732 0.2567 0.9436
O5 0.1127 0.0353 0.6542
O6 0.1127 0.4647 0.1542
O7 0.1286 0.5527 0.6352
O8 0.1286 0.9473 0.1352
O9 0.1987 0.7490 0.3374
O10 0.1987 0.7510 0.8374
O11 0.3010 0.2281 0.6384
O12 0.3010 0.2719 0.1384
O13 0.3770 0.5293 0.5398
O14 0.3770 0.9707 0.0398
O15 0.3798 0.0470 0.5085
O16 0.3798 0.4530 0.0085
O17 0.4276 0.7167 0.3721
O18 0.4276 0.7833 0.8721
O19 0.4991 0.5242 0.2366
O20 0.4991 0.9758 0.7366
O21 0.5009 0.0242 0.2634
O22 0.5009 0.4758 0.7634
O23 0.5724 0.2167 0.1279
O24 0.5724 0.2833 0.6279
O25 0.6202 0.5470 0.9915
O26 0.6202 0.9530 0.4915
O27 0.6230 0.0293 0.9602
O28 0.6230 0.4707 0.4602
O29 0.6990 0.7281 0.8616
O30 0.6990 0.7719 0.3616
O31 0.8013 0.2490 0.1626
O32 0.8013 0.2510 0.6626
O33 0.8714 0.0527 0.8648
O34 0.8714 0.4473 0.3648
O35 0.8873 0.5353 0.8458
O36 0.8873 0.9647 0.3458
O37 0.9268 0.7433 0.0564
O38 0.9268 0.7567 0.5564
O39 0.9925 0.5285 0.2584
O40 0.9925 0.9715 0.7584